Record 1
Below is Ce2Si2Sn after structural relaxation, with properties calculated at the GGA-PBE level.

## Properties
calculated total energy = -5.98 eV per atom
symmetry = P4/mbm (127)
crystal system = tetragonal
energy of formation = -0.639 eV/atom

Cell: 7.2547 7.2547 4.3875 Å, 90.00 90.00 90.00°
Last column: nearest neighbours and their distance in Å.
Atoms (fractional coordinates):
Ce 0.1780 0.3220 0.0000  6 Si 3.05-3.09
Ce 0.3220 0.8220 0.0000  6 Si 3.05-3.09
Ce 0.6780 0.1780 0.0000  6 Si 3.05-3.09
Ce 0.8220 0.6780 0.0000  6 Si 3.05-3.09
Si 0.1155 0.6155 0.5000  1 Si 2.37
Si 0.3845 0.1155 0.5000  1 Si 2.37
Si 0.6155 0.8845 0.5000  1 Si 2.37
Si 0.8845 0.3845 0.5000  1 Si 2.37
Sn 0.0000 0.0000 0.5000  4 Si 2.91
Sn 0.5000 0.5000 0.5000  4 Si 2.91


Record 2
Below is KNaSO4 after structural relaxation, with properties calculated at the GGA-PBE level.

## Properties
calculated total energy = -5.58 eV per atom
polymorph energy (0 for the lowest one) = 20 meV per atom
symmetry = P-3m1 (164)
crystal system = trigonal
energy of formation = -2.210 eV/atom

Cell: 5.6838 5.6838 7.2596 Å, 90.00 90.00 120.00°
Last column: nearest neighbours and their distance in Å.
Atoms (fractional coordinates):
K 0.3333 0.6667 0.1643  1 O 2.54
K 0.6667 0.3333 0.8357  1 O 2.54
Na 0.0000 0.0000 0.0000  6 O 2.42
Na 0.0000 0.0000 0.5000  6 O 2.81
S 0.3333 0.6667 0.7155  4 O 1.46-1.51
S 0.6667 0.3333 0.2845  4 O 1.46-1.51
O 0.1901 0.3802 0.7886  1 S 1.51
O 0.1901 0.8099 0.7886  1 S 1.51
O 0.3333 0.6667 0.5138  1 S 1.46
O 0.3802 0.1901 0.2114  1 S 1.51
O 0.6198 0.8099 0.7886  1 S 1.51
O 0.6667 0.3333 0.4862  1 S 1.46
O 0.8099 0.1901 0.2114  1 S 1.51
O 0.8099 0.6198 0.2114  1 S 1.51


Record 3
Below is K3Mg18Pb11 after structural relaxation, with properties calculated at the GGA-PBE level.

## Properties
calculated total energy = -2.37 eV per atom
symmetry = P6_3/m (176)
crystal system = hexagonal
energy of formation = -0.085 eV/atom

Cell: 12.1030 12.1030 14.2095 Å, 90.00 90.00 120.00°
Last column: nearest neighbours and their distance in Å.
Atoms (fractional coordinates):
K 0.3333 0.6667 0.0825  6 Pb 3.70-3.74, 6 Mg 3.92-3.93
K 0.3333 0.6667 0.4175  6 Pb 3.70-3.74, 6 Mg 3.92-3.93
K 0.3333 0.6667 0.7500  6 Pb 3.72, 6 Mg 3.92
K 0.6667 0.3333 0.2500  6 Pb 3.72, 6 Mg 3.92
K 0.6667 0.3333 0.5825  6 Pb 3.70-3.74, 6 Mg 3.92-3.93
K 0.6667 0.3333 0.9175  6 Pb 3.70-3.74, 6 Mg 3.92-3.93
Mg 0.0551 0.6228 0.5840  4 Pb 2.99-3.06, 1 Mg 3.32
Mg 0.0551 0.6228 0.9160  4 Pb 2.99-3.06, 1 Mg 3.32
Mg 0.0580 0.6265 0.2500  4 Pb 2.95-3.03
Mg 0.1051 0.8560 0.7500  5 Pb 3.05-3.19
Mg 0.1204 0.8502 0.0834  4 Pb 2.93-3.11
Mg 0.1204 0.8502 0.4166  4 Pb 2.93-3.11
Mg 0.1440 0.2491 0.7500  5 Pb 3.05-3.19
Mg 0.1498 0.2702 0.0834  4 Pb 2.93-3.11
Mg 0.1498 0.2702 0.4166  4 Pb 2.93-3.11
Mg 0.2491 0.1051 0.2500  5 Pb 3.05-3.19
Mg 0.2702 0.1204 0.5834  4 Pb 2.93-3.11
Mg 0.2702 0.1204 0.9166  4 Pb 2.93-3.11
Mg 0.3735 0.4315 0.2500  4 Pb 2.95-3.03
Mg 0.3772 0.4324 0.5840  4 Pb 2.99-3.06, 1 Mg 3.32
Mg 0.3772 0.4324 0.9160  4 Pb 2.99-3.06, 1 Mg 3.32
Mg 0.4315 0.0580 0.7500  4 Pb 2.95-3.03
Mg 0.4324 0.0551 0.0840  4 Pb 2.99-3.06, 1 Mg 3.32
Mg 0.4324 0.0551 0.4160  4 Pb 2.99-3.06, 1 Mg 3.32
Mg 0.5676 0.9449 0.5840  4 Pb 2.99-3.06, 1 Mg 3.32
Mg 0.5676 0.9449 0.9160  4 Pb 2.99-3.06, 1 Mg 3.32
Mg 0.5685 0.9420 0.2500  4 Pb 2.95-3.03
Mg 0.6228 0.5676 0.0840  4 Pb 2.99-3.06, 1 Mg 3.32
Mg 0.6228 0.5676 0.4160  4 Pb 2.99-3.06, 1 Mg 3.32
Mg 0.6265 0.5685 0.7500  4 Pb 2.95-3.03
Mg 0.7298 0.8796 0.0834  4 Pb 2.93-3.11
Mg 0.7298 0.8796 0.4166  4 Pb 2.93-3.11
Mg 0.7509 0.8949 0.7500  5 Pb 3.05-3.19
Mg 0.8502 0.7298 0.5834  4 Pb 2.93-3.11
Mg 0.8502 0.7298 0.9166  4 Pb 2.93-3.11
Mg 0.8560 0.7509 0.2500  5 Pb 3.05-3.19
Mg 0.8796 0.1498 0.5834  4 Pb 2.93-3.11
Mg 0.8796 0.1498 0.9166  4 Pb 2.93-3.11
Mg 0.8949 0.1440 0.2500  5 Pb 3.05-3.19
Mg 0.9420 0.3735 0.7500  4 Pb 2.95-3.03
Mg 0.9449 0.3772 0.0840  4 Pb 2.99-3.06, 1 Mg 3.32
Mg 0.9449 0.3772 0.4160  4 Pb 2.99-3.06, 1 Mg 3.32
Pb 0.0000 0.0000 0.1338  6 Mg 2.93-3.10
Pb 0.0000 0.0000 0.3662  6 Mg 2.93-3.10
Pb 0.0000 0.0000 0.6338  6 Mg 2.93-3.10
Pb 0.0000 0.0000 0.8662  6 Mg 2.93-3.10
Pb 0.1158 0.4121 0.5848  7 Mg 2.99-3.19
Pb 0.1158 0.4121 0.9152  7 Mg 2.99-3.19
Pb 0.1170 0.4181 0.2500  7 Mg 2.95-3.11
Pb 0.2963 0.8842 0.5848  7 Mg 2.99-3.19
Pb 0.2963 0.8842 0.9152  7 Mg 2.99-3.19
Pb 0.3010 0.8830 0.2500  7 Mg 2.95-3.11
Pb 0.4121 0.2963 0.0848  7 Mg 2.99-3.19
Pb 0.4121 0.2963 0.4152  7 Mg 2.99-3.19
Pb 0.4181 0.3010 0.7500  7 Mg 2.95-3.11
Pb 0.5819 0.6990 0.2500  7 Mg 2.95-3.11
Pb 0.5879 0.7037 0.5848  7 Mg 2.99-3.19
Pb 0.5879 0.7037 0.9152  7 Mg 2.99-3.19
Pb 0.6990 0.1170 0.7500  7 Mg 2.95-3.11
Pb 0.7037 0.1158 0.0848  7 Mg 2.99-3.19
Pb 0.7037 0.1158 0.4152  7 Mg 2.99-3.19
Pb 0.8830 0.5819 0.7500  7 Mg 2.95-3.11
Pb 0.8842 0.5879 0.0848  7 Mg 2.99-3.19
Pb 0.8842 0.5879 0.4152  7 Mg 2.99-3.19


Record 4
Below is Gd2B4O9 after structural relaxation, with properties calculated at the GGA-PBE level.

## Properties
calculated total energy = -9.48 eV per atom
polymorph energy (0 for the lowest one) = 0 meV per atom
symmetry = P-1 (2)
crystal system = triclinic
energy of formation = -3.262 eV/atom

Cell: 6.2630 6.5463 7.5649 Å, 102.05 96.96 102.41°
Last column: nearest neighbours and their distance in Å.
Atoms (fractional coordinates):
Gd 0.0484 0.0912 0.2852  8 O 2.31-2.58
Gd 0.3863 0.6773 0.3588  6 O 2.34-2.60
Gd 0.6137 0.3227 0.6412  6 O 2.34-2.60
Gd 0.9516 0.9088 0.7148  8 O 2.31-2.58
B 0.1276 0.3572 0.6534  4 O 1.47-1.56
B 0.1617 0.6780 0.9251  4 O 1.44-1.50
B 0.2287 0.3344 0.9818  4 O 1.46-1.51
B 0.4943 0.1485 0.1875  3 O 1.37-1.40
B 0.5057 0.8515 0.8125  3 O 1.37-1.40
B 0.7713 0.6656 0.0182  4 O 1.46-1.51
B 0.8383 0.3220 0.0749  4 O 1.44-1.50
B 0.8724 0.6428 0.3466  4 O 1.47-1.56
O 0.0049 0.7853 0.0160  2 B 1.48-1.51
O 0.0432 0.5364 0.7480  2 B 1.47
O 0.0751 0.8144 0.4415  1 B 1.49
O 0.2611 0.2649 0.7915  2 B 1.47-1.56
O 0.2713 0.5682 0.0398  2 B 1.44-1.46
O 0.2797 0.4048 0.5249  1 B 1.47
O 0.3135 0.8623 0.8797  2 B 1.37-1.50
O 0.3590 0.2803 0.1396  2 B 1.40-1.51
O 0.4327 0.0470 0.3221  1 B 1.38
O 0.5673 0.9530 0.6779  1 B 1.38
O 0.6410 0.7197 0.8604  2 B 1.40-1.51
O 0.6865 0.1377 0.1203  2 B 1.37-1.50
O 0.7203 0.5952 0.4751  1 B 1.47
O 0.7287 0.4318 0.9602  2 B 1.44-1.46
O 0.7389 0.7351 0.2085  2 B 1.47-1.56
O 0.9249 0.1856 0.5585  1 B 1.49
O 0.9568 0.4636 0.2520  2 B 1.47
O 0.9951 0.2147 0.9840  2 B 1.48-1.51